1.
This record from the Materials Project database describes a relaxed structure of Cu3As2O8. The functional is r²SCAN.

## Properties
SG: P-1 (2)
E_tot, eV/atom: -9.53
Volume, A^3/atom: 11.8
Formation energy, eV per formula unit: -14.1
Total magnetization, μB per atom: 0.23

```
data_Cu3As2O8
_symmetry_space_group_name_H-M 'P 1'
_symmetry_Int_Tables_number 1
_cell_length_a 5.047
_cell_length_b 5.450
_cell_length_c 6.360
_cell_angle_alpha 70.66
_cell_angle_beta 86.53
_cell_angle_gamma 68.43
loop_
_symmetry_equiv_pos_as_xyz
'x,y,z'
loop_
_atom_site_label
_atom_site_fract_x
_atom_site_fract_y
_atom_site_fract_z
O1 0.141 0.676 0.637
O2 0.218 0.213 0.023
O3 0.313 0.648 0.164
O4 0.377 0.128 0.637
O5 0.623 0.872 0.363
O6 0.782 0.787 0.977
O7 0.687 0.352 0.836
O8 0.859 0.324 0.363
Cu1 0.000 0.000 0.000
Cu2 0.263 0.197 0.329
Cu3 0.737 0.803 0.671
As1 0.362 0.352 0.781
As2 0.638 0.648 0.219
```

***

2.
This record from the Materials Project database describes a relaxed structure of Nd3Al12Ru4. The functional is r²SCAN.

## Properties
SG: P6_3/mmc (194)
E_tot, eV/atom: -14.95
Volume, A^3/atom: 17.2
Formation energy, eV per formula unit: -13.2
Total magnetization, μB per atom: 0.00

```
data_Nd3Al12Ru4
_symmetry_space_group_name_H-M 'P 1'
_symmetry_Int_Tables_number 1
_cell_length_a 8.849
_cell_length_b 8.849
_cell_length_c 9.642
_cell_angle_alpha 90.00
_cell_angle_beta 90.00
_cell_angle_gamma 120.00
loop_
_symmetry_equiv_pos_as_xyz
'x,y,z'
loop_
_atom_site_label
_atom_site_fract_x
_atom_site_fract_y
_atom_site_fract_z
Al1 0.162 0.325 0.575
Al2 0.162 0.325 0.925
Al3 0.667 0.333 0.503
Al4 0.162 0.838 0.925
Al5 0.125 0.563 0.750
Al6 0.675 0.838 0.925
Al7 0.325 0.162 0.425
Al8 0.437 0.563 0.750
Al9 0.333 0.667 0.497
Al10 0.437 0.875 0.750
Al11 0.838 0.162 0.075
Al12 0.325 0.162 0.075
Al13 0.667 0.333 0.997
Al14 0.838 0.675 0.075
Al15 0.838 0.675 0.425
Al16 0.875 0.437 0.250
Al17 0.838 0.162 0.425
Al18 0.162 0.838 0.575
Al19 0.000 0.000 0.250
Al20 0.333 0.667 0.003
Al21 0.000 0.000 0.750
Al22 0.563 0.125 0.250
Al23 0.675 0.838 0.575
Al24 0.563 0.437 0.250
Nd1 0.614 0.807 0.250
Nd2 0.386 0.193 0.750
Nd3 0.807 0.193 0.750
Nd4 0.807 0.614 0.750
Nd5 0.193 0.807 0.250
Nd6 0.193 0.386 0.250
Ru1 0.000 0.000 0.500
Ru2 0.500 0.000 0.500
Ru3 0.500 0.500 0.000
Ru4 0.000 0.000 0.000
Ru5 0.000 0.500 0.500
Ru6 0.500 0.500 0.500
Ru7 0.500 0.000 0.000
Ru8 0.000 0.500 0.000
```

***

3.
This record from the Materials Project database describes a relaxed structure of PaAlAu2. The functional is r²SCAN.

## Properties
SG: Fm-3m (225)
E_tot, eV/atom: -46.65
Volume, A^3/atom: 20.3
Formation energy, eV per formula unit: -1.8
Total magnetization, μB per atom: 0.00

```
data_PaAlAu2
_symmetry_space_group_name_H-M 'P 1'
_symmetry_Int_Tables_number 1
_cell_length_a 4.858
_cell_length_b 4.858
_cell_length_c 4.858
_cell_angle_alpha 60.00
_cell_angle_beta 60.00
_cell_angle_gamma 60.00
loop_
_symmetry_equiv_pos_as_xyz
'x,y,z'
loop_
_atom_site_label
_atom_site_fract_x
_atom_site_fract_y
_atom_site_fract_z
Pa1 0.750 0.750 0.750
Al1 0.250 0.250 0.250
Au1 0.500 0.500 0.500
Au2 0.000 0.000 0.000
```